(1)
Here is a relaxed PNClF crystal from the Materials Project. Energies are from PBE-GGA.

```
PNClF
1.0
4.980 -6.457 0.000
4.980 6.457 0.000
0.000 0.000 7.969
N P Cl F
6 6 6 6
Cartesian
8.519 0.000 3.457 N
7.058 -1.367 5.332 N
7.058 1.367 5.332 N
2.901 1.367 1.347 N
2.901 -1.367 1.347 N
1.440 0.000 7.441 N
6.691 0.000 6.051 P
8.038 -1.381 4.080 P
3.268 0.000 2.066 P
1.921 -1.381 0.096 P
8.038 1.381 4.080 P
1.921 1.381 0.096 P
5.336 3.891 0.449 Cl
4.623 3.891 4.433 Cl
5.336 -3.891 0.449 Cl
4.623 -3.891 4.433 Cl
2.621 0.000 3.957 Cl
7.338 0.000 7.941 Cl
7.333 2.202 2.943 F
7.333 -2.202 2.943 F
2.626 2.202 6.928 F
5.142 0.000 6.305 F
2.626 -2.202 6.928 F
4.817 0.000 2.321 F
```

Values from the calculation:
largest piezoelectric modulus	0.06	C/m2
ΔH_f (0 K)	-122	kJ/mol of atoms
calculated volume	21.35	Å³ per atom

***

(2)
Here is a relaxed ReNClF5 crystal from the Materials Project. Energies are from PBE-GGA.

```
ReNClF5
1.0
-1.920 5.393 -6.478
-0.398 -3.982 -3.197
-6.320 -1.014 1.030
F Cl Re N
10 2 2 2
Cartesian
-6.307 1.102 -7.653 F
-3.722 -2.358 -3.744 F
-2.331 -0.704 -0.992 F
-4.916 2.756 -4.901 F
-7.381 3.169 -5.577 F
-1.840 -1.135 -5.034 F
-6.798 1.533 -3.612 F
-5.713 -0.569 -5.646 F
-1.258 -2.771 -3.069 F
-2.926 0.967 -2.999 F
-3.164 1.526 -6.445 Cl
-5.475 -1.128 -2.200 Cl
-6.874 -0.613 -7.125 Re
-1.765 1.011 -1.520 Re
-1.949 0.972 -7.266 N
-6.690 -0.574 -1.379 N
```

Values from the calculation:
ΔH_f (0 K)	-175	kJ/mol of atoms
calculated volume	17.86	Å³ per atom

***

| no. | electronic total energy (eV per cell) |
| --- | --- |
| 1 | -132.56 |
| 2 | -88.77 |